Record 1
DFT (GGA+U) results for a relaxed structure of NiP3O9.

The structure in POSCAR format:
```
NiP3O9
1.0
9.446 0.000 0.000
-3.020 8.960 0.000
-2.527 -4.336 8.403
Ni P O
4 12 36
Cartesian
-0.541 1.691 1.779
-1.755 3.807 6.076
5.654 0.816 2.327
4.441 2.933 6.624
-2.703 3.883 2.985
-2.307 6.309 1.368
-0.848 -3.171 7.763
0.034 1.321 4.977
1.325 4.658 2.439
1.811 7.158 0.821
2.088 -2.534 7.582
2.574 -0.034 5.964
3.865 3.303 3.425
4.747 7.795 0.640
6.206 -1.685 7.034
6.602 0.741 5.418
-2.349 4.745 1.673
-3.137 2.192 5.759
-4.316 2.134 8.362
-1.683 -2.049 6.935
-3.665 4.600 6.837
-2.067 4.476 4.194
-1.267 0.473 5.378
1.059 0.939 0.699
-1.471 7.070 2.364
0.340 1.122 3.523
0.376 3.560 2.059
-1.443 3.156 7.967
-0.087 2.719 5.506
0.514 -2.345 7.909
1.420 5.632 1.171
1.062 0.497 5.906
-0.759 5.538 6.387
0.961 5.365 3.724
2.938 -0.741 4.679
4.658 -0.914 2.016
2.837 4.127 2.496
2.479 -1.009 7.232
3.386 6.969 0.494
3.986 1.905 2.897
5.342 1.468 0.436
3.524 1.063 6.344
3.559 3.502 4.880
5.370 -2.446 6.039
2.840 3.685 7.704
5.166 4.151 3.024
5.967 0.148 4.209
7.564 0.024 1.566
5.582 6.673 1.468
8.215 2.490 0.041
7.037 2.431 2.644
6.248 -0.121 6.730
```

## Properties
Its offset from the most stable computed form is 31 meV/atom. Its calculated volume is 13.7 A^3/atom. The value obtained for the formation energy is -2.242 eV/atom.

=====

Record 2
DFT (GGA+U) results for a relaxed structure of NiP4O12.

The structure in POSCAR format:
```
NiP4O12
1.0
5.949 -4.227 0.000
5.949 4.227 0.000
-4.206 0.000 8.771
Ni P O
2 8 24
Cartesian
2.974 2.113 0.000
0.871 -2.113 4.386
-0.690 0.043 6.082
1.413 -0.043 1.697
3.696 2.306 4.639
1.892 2.306 8.518
5.799 -2.306 0.253
3.995 -2.306 4.133
6.278 0.043 7.074
8.381 -0.043 2.689
2.528 2.988 3.769
1.660 3.407 7.358
3.927 3.407 5.799
4.848 2.230 0.607
-0.731 0.572 7.462
2.642 0.797 1.396
7.266 2.988 0.617
4.946 2.230 3.779
1.372 -0.572 3.076
3.168 1.048 5.268
0.539 -0.797 5.781
2.420 1.048 7.889
5.271 -1.048 0.883
7.152 0.797 2.990
4.523 -1.048 3.503
6.319 0.572 5.695
2.745 -2.230 4.992
0.425 -2.988 8.155
5.049 -0.797 7.376
8.422 -0.572 1.309
2.843 -2.230 8.164
3.764 -3.407 2.972
6.031 -3.407 1.413
5.162 -2.988 5.002
```

## Properties
Its offset from the most stable computed form is 12 meV/atom. Its calculated volume is 13.0 A^3/atom. The value obtained for the formation energy is -2.174 eV/atom.

=====

Record 3
DFT (GGA+U) results for a relaxed structure of NiP5O14.

The structure in POSCAR format:
```
NiP5O14
1.0
9.794 0.000 0.000
0.000 8.211 0.000
-8.023 0.000 13.108
Ni P O
4 20 56
Cartesian
1.958 1.725 0.024
-2.054 2.380 6.578
3.825 5.831 6.529
-0.187 6.485 13.083
-4.641 1.818 8.478
-0.630 2.288 1.924
-3.689 4.606 8.413
0.322 7.710 1.859
-5.045 4.885 12.687
-1.033 7.431 6.133
-3.797 0.570 10.980
0.215 3.535 4.426
-2.743 5.964 10.974
1.269 6.352 4.420
0.503 1.858 8.687
4.514 2.247 2.133
1.556 4.676 8.682
5.568 7.640 2.128
2.805 0.780 6.975
6.816 3.326 0.421
1.449 0.501 11.249
5.460 3.604 4.695
2.401 5.923 11.184
6.413 6.393 4.630
-4.694 5.677 8.160
-0.682 6.639 1.607
-0.484 0.810 2.472
-4.496 3.296 9.026
-3.582 1.342 7.571
0.430 2.763 1.017
-4.855 0.953 9.790
-0.843 3.152 3.236
-5.923 5.923 11.783
-1.912 6.393 5.229
-2.743 4.163 7.354
1.269 8.153 0.800
-1.352 0.625 5.736
-5.364 3.480 12.290
0.421 5.094 3.977
-3.591 7.222 10.531
-4.533 0.610 12.279
-0.522 3.496 5.725
-2.828 4.989 9.745
1.183 7.327 3.191
2.897 5.211 1.042
-1.114 7.105 7.596
-3.566 5.280 12.155
0.446 7.036 5.602
-2.512 1.328 10.792
1.500 2.777 4.238
3.133 1.981 1.718
-0.878 2.124 8.272
2.649 6.087 4.836
-1.362 6.229 11.390
0.272 5.434 8.870
4.283 6.882 2.316
1.325 1.175 7.506
5.337 2.931 0.952
2.886 1.106 5.512
-1.126 3.000 12.065
0.588 0.883 9.917
4.599 3.222 3.363
2.293 4.715 7.383
6.305 7.601 0.829
5.362 0.988 2.577
1.351 3.117 9.131
7.135 4.730 0.818
3.124 7.586 7.372
0.503 0.057 12.307
4.514 4.048 5.754
3.683 1.818 7.878
7.695 2.287 1.325
2.614 5.058 9.872
6.626 7.258 3.318
1.342 5.448 12.090
5.353 6.868 5.536
6.267 4.915 4.082
2.255 7.401 10.636
2.453 1.572 11.501
6.465 2.533 4.947
```

## Properties
Its calculated volume is 13.2 A^3/atom. The value obtained for the formation energy is -2.325 eV/atom.

=====

Record 4
DFT (GGA+U) results for a relaxed structure of NiP2O7.

The structure in POSCAR format:
```
NiP2O7
1.0
7.255 0.000 0.000
0.000 8.195 0.000
-3.019 0.000 8.842
Ni P O
4 8 28
Cartesian
0.911 0.046 2.229
-0.599 4.051 6.650
4.835 4.143 2.192
3.326 8.148 6.613
-0.081 5.719 3.870
-1.590 6.573 8.291
1.444 1.944 4.959
2.954 2.153 0.537
1.283 6.041 8.305
2.792 6.251 3.884
5.827 1.622 0.551
4.317 2.475 4.972
-0.691 4.796 2.815
-2.200 7.496 7.236
-1.678 5.082 7.955
-0.169 7.210 3.534
-0.645 5.482 5.274
0.865 6.810 0.853
1.774 1.264 0.873
0.265 2.833 5.294
1.266 1.471 3.515
-0.244 2.627 7.936
1.482 5.307 3.863
-0.028 6.985 8.284
1.069 4.883 7.313
2.579 7.408 2.892
1.658 0.786 5.950
3.167 3.311 1.529
4.264 1.210 0.558
2.755 2.888 4.979
4.480 5.568 0.906
2.971 6.724 5.327
3.972 5.361 3.549
2.462 6.931 7.970
3.372 1.385 7.989
4.881 2.712 3.568
4.405 0.985 5.308
5.915 3.113 0.887
6.437 0.699 1.606
4.928 3.399 6.027
```

## Properties
Its offset from the most stable computed form is 12 meV/atom. Its calculated volume is 13.1 A^3/atom. The value obtained for the formation energy is -1.986 eV/atom.